[1]
A geometry-optimized Ta2MnZnO8 structure, computed with GGA+U.

Structure (extended XYZ):
```
48
Lattice="5.089 0.087 0.258 -0.009 5.495 -1.688 1.084 5.765 18.772" Properties=species:S:1:pos:R:3 pbc="T T T"
O 5.167 6.099 12.066
O 1.757 8.178 14.350
O 4.103 9.796 14.302
O 5.840 7.691 17.369
O 1.000 5.227 5.382
O 3.433 8.130 9.019
O 2.098 1.486 2.970
O 1.879 4.520 2.444
O 5.734 10.292 16.448
O 2.993 5.171 -0.217
O 5.294 7.556 7.138
O 3.307 8.838 16.879
O 2.425 4.654 12.674
O 3.237 6.190 17.552
O 0.413 1.074 0.906
O 0.878 3.777 10.208
O 4.864 8.767 11.742
O 3.860 6.557 4.531
O 4.326 3.138 3.200
O 2.636 7.115 11.513
O 2.770 3.208 8.337
O 5.197 4.662 7.906
O 4.621 5.965 1.835
O 1.546 5.362 15.612
O 2.895 2.500 0.476
O 1.220 2.548 5.808
O 2.691 6.055 7.323
O 0.950 6.704 9.448
O 0.332 3.643 -0.022
O 3.539 5.306 10.012
O 3.566 4.166 5.760
O 4.406 6.693 14.761
Ta 1.270 5.232 0.896
Ta 2.366 9.637 15.229
Ta 4.310 7.326 10.643
Ta 1.817 5.367 11.126
Ta 1.829 4.007 6.687
Ta 4.418 5.981 6.247
Ta 4.964 6.115 16.477
Ta 3.772 1.697 2.100
Zn 5.193 8.148 13.614
Zn 4.655 2.518 5.072
Zn 4.081 5.121 13.561
Zn 3.535 4.987 3.331
Mn 1.280 1.973 -0.531
Mn 4.369 3.745 9.338
Mn 1.818 7.603 8.011
Mn 3.822 3.610 -0.892
```

Values from the calculation:
total magnetic moment: 0.00 μB/cell
E_tot: -8.17 eV per atom
energy relative to the elements: -2.6270 eV per atom
V: 573 Å³/cell



[2]
A geometry-optimized TmSbMo2O9 structure, computed with GGA+U.

Structure (extended XYZ):
```
52
Lattice="7.109 6.499 0.000 -7.109 6.499 0.000 0.000 5.982 8.947" Properties=species:S:1:pos:R:3 pbc="T T T"
O 3.367 9.367 2.060
O -3.282 5.716 2.241
O -4.052 7.997 3.845
O -4.778 10.642 8.941
O -0.851 6.877 0.909
O -1.273 12.350 1.569
O 3.282 8.707 6.714
O -0.851 9.112 3.565
O 3.367 6.622 2.413
O 4.778 8.338 0.005
O -1.080 14.068 7.133
O -4.778 11.329 4.479
O -3.367 12.358 6.533
O -4.052 7.991 0.629
O 0.851 9.868 5.382
O 0.185 1.664 0.914
O -3.282 10.273 2.233
O 0.185 14.325 3.560
O -0.185 17.316 8.033
O 1.273 6.630 7.378
O 1.312 9.589 8.228
O 1.080 11.077 2.659
O 4.052 10.989 8.318
O -1.312 9.391 0.719
O -1.312 6.598 3.755
O 1.312 12.382 5.192
O 0.851 12.103 8.038
O -1.080 7.903 6.287
O 4.052 10.982 5.102
O -3.367 9.613 6.887
O 4.778 7.651 4.468
O 3.282 13.264 6.706
O -1.273 3.639 2.905
O 1.080 4.912 1.814
O -0.185 4.655 5.387
O 1.273 15.341 6.042
Sb -0.257 4.948 0.305
Sb 0.257 14.031 8.642
Sb 0.257 7.940 4.778
Sb -0.257 11.040 4.168
Mo -2.667 13.948 6.203
Mo 1.519 14.161 4.704
Mo -1.519 11.170 0.231
Mo 2.667 5.032 2.744
Mo 1.519 7.810 8.716
Mo -1.519 4.819 4.243
Mo -2.667 8.023 7.217
Mo 2.667 10.957 1.729
Tm 2.429 10.986 6.710
Tm 5.311 7.994 2.237
Tm -2.429 7.994 2.237
Tm -5.311 10.986 6.710
```

Values from the calculation:
total magnetic moment: 0.00 μB/cell
E_tot: -7.17 eV per atom
energy relative to the elements: -2.3782 eV per atom
space-group type: C2/c, No. 15
V: 827 Å³/cell



[3]
A geometry-optimized LiMo2P3O13 structure, computed with GGA+U.

Structure (extended XYZ):
```
38
Lattice="-6.467 0.000 0.000 -1.317 -7.503 0.000 -0.690 -2.609 11.036" Properties=species:S:1:pos:R:3 pbc="T T T"
O -3.662 -8.893 6.308
O -2.129 -2.817 8.627
O -3.012 -7.978 2.703
O -1.497 -3.320 2.312
O -2.973 -7.460 0.081
O -5.461 -2.135 8.333
O -1.778 -5.187 7.348
O -4.763 -8.348 9.622
O -2.326 -3.765 4.682
O -6.695 -4.925 3.688
O -2.342 -8.331 9.798
O -6.345 -7.296 2.409
O -6.642 -3.139 6.332
O -5.501 -2.652 10.955
O -6.147 -6.347 6.354
O -3.711 -1.765 1.414
O -2.607 -5.468 2.848
O -4.303 -6.537 4.351
O -5.867 -4.645 8.188
O -4.170 -3.576 6.685
O -1.831 -6.974 4.704
O -4.811 -1.219 4.728
O -6.976 -6.793 8.724
O -5.938 -4.850 0.423
O -6.131 -1.782 1.238
O -2.536 -5.263 10.613
Li -2.582 -6.397 8.995
Li -5.891 -3.716 2.041
P -1.619 -4.335 3.454
P -2.964 -6.826 3.675
P -3.559 -9.314 9.780
P -5.509 -3.286 7.360
P -4.915 -0.799 1.256
P -6.854 -5.778 7.582
Mo -6.256 -7.064 4.456
Mo -1.720 -1.738 1.026
Mo -2.217 -3.048 6.580
Mo -6.753 -8.374 10.010
```

Values from the calculation:
total magnetic moment: 4.00 μB/cell
E_tot: -7.11 eV per atom
offset from the most stable computed form: 1 meV per atom
energy relative to the elements: -2.4378 eV per atom
space-group type: P-1, No. 2
V: 535 Å³/cell



[4]
A geometry-optimized Sr3TaCoO7 structure, computed with GGA+U.

Structure (extended XYZ):
```
48
Lattice="-3.667 0.392 1.457 1.637 10.368 6.711 -4.029 11.771 -7.906" Properties=species:S:1:pos:R:3 pbc="T T T"
Co -1.479 8.865 -0.712
Co -2.900 9.087 -4.344
Co -0.074 8.394 2.939
Co -2.695 19.822 -1.333
Ta -3.179 13.225 4.618
Ta -4.602 13.538 0.957
Ta -3.402 2.507 1.556
Ta -6.017 13.917 -2.700
O -1.733 6.834 -0.809
O -2.925 17.878 -1.382
O -5.752 15.988 -2.589
O -1.338 13.137 3.881
O -1.850 8.832 3.741
O -1.530 17.539 2.204
O 0.684 8.463 4.830
O -4.728 9.517 -3.667
O -4.091 2.830 -0.263
O -2.197 9.208 -2.608
O -4.486 20.245 -0.557
O -4.850 11.634 0.849
O -4.166 13.835 -3.416
O -6.261 12.024 -2.806
O -6.708 14.223 -4.519
O -3.883 13.469 2.789
O -3.647 0.614 1.448
O -2.756 13.450 0.232
O -2.932 15.298 4.685
O -3.284 9.202 0.038
O -4.342 15.607 1.057
O -1.554 2.420 0.833
O -5.295 13.842 -0.865
O -3.137 4.588 1.661
O -3.401 11.325 4.571
O -0.702 8.839 1.221
O -0.280 6.466 2.940
O -3.593 9.510 -6.202
Sr -5.429 18.579 -2.476
Sr -2.341 10.668 1.980
Sr -4.013 18.240 1.167
Sr -2.023 4.498 -0.899
Sr -0.955 10.326 5.600
Sr -3.222 15.533 -1.501
Sr -0.609 4.133 2.747
Sr -5.214 11.352 -5.381
Sr -1.810 15.190 2.143
Sr -4.233 7.532 -1.836
Sr -3.800 11.030 -1.738
Sr -2.831 7.213 1.717
```

Values from the calculation:
total magnetic moment: 1.70 μB/cell
E_tot: -7.26 eV per atom
offset from the most stable computed form: 23 meV per atom
energy relative to the elements: -2.9105 eV per atom
space-group type: P1, No. 1
V: 674 Å³/cell



[5]
A geometry-optimized LiNiP4O12 structure, computed with GGA+U.

Structure (extended XYZ):
```
72
Lattice="-2.325 -3.691 -7.163 8.036 1.960 -3.618 4.551 -10.960 4.171" Properties=species:S:1:pos:R:3 pbc="T T T"
Li 7.117 -5.892 -4.281
Li 6.004 1.433 -2.785
Li 3.145 -6.799 -2.329
Li -0.292 -3.164 -7.996
P -0.573 -7.416 -5.425
P -0.359 -3.285 -2.712
P 1.328 -9.518 -2.242
P 5.586 -3.037 -0.636
P 8.934 -3.173 -4.368
P 6.202 -7.181 -1.416
P 6.055 -11.472 -4.067
P 3.475 -2.597 -5.087
P 4.676 -9.655 -5.974
P 4.207 -1.219 -2.543
P 10.621 -9.406 -3.898
P 3.506 -10.119 2.270
P 6.787 -10.094 -1.523
P 6.756 -2.572 -8.880
P 4.061 -5.510 -5.194
P 10.835 -5.276 -1.186
O 0.782 -8.071 -5.491
O 6.685 -0.985 -5.218
O 4.316 -3.914 -5.390
O 9.445 -8.622 -4.628
O 0.817 -4.069 -1.982
O 6.924 -3.719 -0.754
O 3.578 -11.707 -1.392
O 2.026 -2.982 -5.384
O 7.082 -11.854 -5.057
O 6.956 -6.907 -2.655
O 5.432 -6.134 -5.378
O 3.180 -0.837 -1.554
O 5.392 -12.554 -3.234
O 7.775 -4.088 -4.374
O 6.679 -5.616 -7.740
O 4.870 -0.138 -3.376
O 7.111 -6.870 -0.117
O 3.652 -2.382 -3.518
O 3.338 -8.973 -5.856
O 10.636 -6.845 -1.020
O 10.851 -9.286 -0.603
O 4.061 -1.469 -5.894
O 9.480 -4.620 -1.119
O 8.855 -2.164 -3.107
O 4.812 -10.692 -4.776
O 6.201 -11.223 -0.716
O 8.236 -9.709 -1.226
O 0.244 -2.130 -3.468
O 4.937 -9.860 2.525
O 10.018 -10.561 -3.143
O 7.965 -6.980 -5.764
O -0.589 -3.405 -6.007
O 5.450 -1.999 -1.835
O 5.325 -2.832 -9.136
O 3.231 -10.275 0.685
O 5.917 -8.769 -5.868
O 2.487 -8.603 -2.237
O 4.831 -6.557 -1.232
O 3.306 -5.784 -3.955
O 6.610 -10.309 -3.092
O 5.946 -8.778 -1.220
O 4.345 -3.923 -0.742
O 3.583 -7.075 1.129
O 1.407 -10.527 -3.503
O -0.374 -5.846 -5.590
O 2.297 -5.711 -0.846
O 7.031 -2.417 -7.295
O 3.151 -5.821 -6.494
Ni 6.278 -7.225 -6.868
Ni 5.165 0.100 -5.371
Ni 0.547 -1.831 -5.409
Ni 3.985 -5.466 0.258
```

Values from the calculation:
total magnetic moment: 12.00 μB/cell
E_tot: -6.71 eV per atom
offset from the most stable computed form: 7 meV per atom
energy relative to the elements: -2.3826 eV per atom
space-group type: Pbcn, No. 60
V: 952 Å³/cell



[6]
A geometry-optimized LiCrP5O15 structure, computed with GGA+U.

Structure (extended XYZ):
```
44
Lattice="-2.193 4.472 -8.323 4.364 -1.954 -2.199 -2.740 -11.596 -5.508" Properties=species:S:1:pos:R:3 pbc="T T T"
O 0.563 -0.924 -10.604
O 0.339 -2.914 -9.159
O 1.291 -3.502 -6.865
O -1.610 -10.779 -7.083
O 0.140 -1.233 -7.407
O 0.163 -12.352 -8.129
O -1.218 -3.321 -7.173
O -1.016 -8.109 -5.427
O -0.097 -3.230 -11.562
O -0.820 -7.867 -8.606
O -1.767 -1.867 -10.124
O -0.349 -5.796 -4.499
O 1.304 -7.192 -5.928
O -4.152 -5.629 -12.553
O -2.565 -9.165 -9.842
O -1.319 1.102 -9.025
O -0.817 -6.145 -6.896
O -0.312 -10.178 -9.185
O -0.470 -8.503 -11.103
O -0.244 -0.518 -4.933
O -1.975 -5.578 -9.060
O -0.162 1.110 -6.855
O 0.396 -5.249 -13.558
O 1.149 1.716 -8.963
O 1.969 -0.106 -6.111
O 3.699 -3.393 -3.466
O 0.554 -5.812 -9.037
O 0.864 -10.131 -7.014
O -3.338 -8.291 -13.401
O -0.853 -3.764 -2.478
P 0.142 -2.828 -7.552
P -0.336 -2.252 -10.436
P -0.285 -10.948 -7.795
P 0.486 -0.216 -6.210
P -1.094 -8.898 -9.800
P -0.154 1.902 -8.229
P -2.030 -8.596 -4.273
P -0.112 -6.776 -5.622
P -2.779 1.524 -9.563
P -0.762 -6.263 -8.501
Cr -4.863 -7.111 -13.803
Cr -1.316 -5.754 -2.784
Li -2.665 -3.961 -8.293
Li -0.824 0.875 -3.749
```

Values from the calculation:
total magnetic moment: 8.00 μB/cell
E_tot: -7.06 eV per atom
offset from the most stable computed form: 16 meV per atom
energy relative to the elements: -2.4881 eV per atom
space-group type: Pc, No. 7
V: 632 Å³/cell



[7]
A geometry-optimized Li2MnP2O7 structure, computed with GGA+U.

Structure (extended XYZ):
```
48
Lattice="-3.984 -6.528 -1.696 2.676 0.278 -7.358 8.095 -5.649 2.731" Properties=species:S:1:pos:R:3 pbc="T T T"
O 7.286 -5.393 0.812
O 2.943 -3.980 -2.598
O 2.075 -8.765 -0.230
O 6.755 -4.559 -5.404
O 4.597 -2.135 -2.579
O 5.168 -9.380 0.221
O 5.520 -6.361 -6.574
O 5.554 -10.730 -5.093
O 2.708 -1.735 -6.769
O 5.075 -4.259 -1.182
O 3.174 -8.659 -4.648
O 1.506 -7.905 -6.459
O 4.205 -4.323 -5.671
O 1.204 -3.272 -5.491
O -0.874 -5.835 -6.013
O 6.991 -6.805 -1.233
O -1.973 -5.941 -1.595
O 5.849 -9.318 -3.048
O 5.251 -6.097 -4.125
O 3.579 -7.228 -1.508
O 8.644 -4.959 -1.214
O -0.468 -4.403 -2.874
O 8.253 -7.148 -4.306
O 3.238 -2.568 -0.553
O -1.203 -3.815 -0.582
O 1.027 -1.435 -2.547
O 1.801 -6.494 -4.414
O 1.120 -6.556 -1.145
Li 3.254 -2.819 -4.981
Li 5.060 -8.631 -4.940
Li 3.910 -9.343 -1.215
Li 1.350 -3.005 -1.510
Li 1.013 -5.807 -6.305
Li 5.398 -5.829 -0.145
Li 7.302 -5.643 -3.616
Li -0.137 -6.519 -2.580
P 2.323 -7.283 -0.603
P 8.045 -6.152 -0.304
P 1.887 -7.941 -4.958
P 5.934 -10.766 -3.592
P 3.997 -3.327 -1.670
P -1.724 -4.458 -1.969
P 1.320 -2.422 -6.780
P 5.367 -5.247 -5.415
Mn 3.395 -5.950 -3.161
Mn -0.653 -3.125 -4.527
Mn 0.064 -9.353 -0.330
Mn 4.111 -12.177 1.035
```

Values from the calculation:
total magnetic moment: 0.00 μB/cell
largest piezoelectric modulus: 0.25 C/m²
E_tot: -6.92 eV per atom
offset from the most stable computed form: 79 meV per atom
energy relative to the elements: -2.5931 eV per atom
V: 629 Å³/cell



[8]
A geometry-optimized FeBiO3 structure, computed with GGA+U.

Structure (extended XYZ):
```
10
Lattice="4.867 -2.781 0.000 4.867 2.781 0.000 3.279 0.000 4.547" Properties=species:S:1:pos:R:3 pbc="T T T"
O 7.591 1.240 0.491
O 4.599 1.667 2.167
O 6.228 1.147 4.394
O 5.337 -0.376 0.055
O 6.936 -2.387 2.367
O 4.384 -1.291 2.781
Bi 0.960 0.000 0.335
Bi 7.431 0.000 2.597
Fe 10.304 0.000 3.601
Fe 3.873 0.000 1.353
```

Values from the calculation:
E_tot: -6.19 eV per atom
energy relative to the elements: -1.6123 eV per atom
space-group type: R3, No. 146
V: 123 Å³/cell



[9]
A geometry-optimized V2CuH3O7 structure, computed with GGA+U.

Structure (extended XYZ):
```
26
Lattice="5.234 0.000 0.000 -1.134 5.263 0.000 -1.933 -2.174 10.045" Properties=species:S:1:pos:R:3 pbc="T T T"
H 4.287 1.364 0.573
H -2.121 1.725 9.472
H 1.652 -1.480 9.372
H 0.514 4.570 0.674
H 2.426 -0.460 5.896
H -0.260 3.550 4.149
Cu 2.050 2.631 0.000
Cu -1.534 1.545 5.023
O 1.974 -0.271 2.968
O 1.601 2.461 3.770
O 0.828 1.594 1.178
O 3.316 -0.340 5.496
O 3.162 3.734 1.829
O -0.995 -0.644 8.216
O 2.837 2.338 6.584
O 0.192 3.360 7.077
O -0.671 0.751 3.461
O 1.339 1.495 8.867
O -1.238 1.937 9.871
O -1.149 3.429 4.550
O 0.565 0.629 6.276
O 3.404 1.152 0.174
V -0.426 -1.062 6.727
V 2.592 4.152 3.318
V 1.202 1.947 7.210
V 0.964 1.143 2.836
```

Values from the calculation:
total magnetic moment: 2.00 μB/cell
E_tot: -6.29 eV per atom
energy relative to the elements: -1.7569 eV per atom
space-group type: P-1, No. 2
V: 277 Å³/cell



Here are the calculated ρ numbers, same order: 7.1 5.0 3.1 6.1 2.7 2.4 2.6 8.4 3.4 (g/cm3).